1.
Entry from the Materials Project database: an optimized crystal structure of Cs2CuH8Se2O12 (GGA-PBE).

The structure in POSCAR format:
```
Cs2CuH8Se2O12
1.0
7.561 0.000 0.000
0.000 8.106 0.000
-4.054 0.000 11.351
Cs Cu H Se O
4 2 16 4 24
Direct
0.214 0.112 0.258 Cs
0.214 0.388 0.758 Cs
0.786 0.612 0.242 Cs
0.786 0.888 0.742 Cs
0.500 0.000 0.000 Cu
0.500 0.500 0.500 Cu
0.182 0.229 0.987 H
0.182 0.271 0.487 H
0.233 0.659 0.369 H
0.233 0.841 0.869 H
0.311 0.549 0.281 H
0.311 0.951 0.781 H
0.334 0.151 0.568 H
0.334 0.349 0.068 H
0.666 0.651 0.932 H
0.666 0.849 0.432 H
0.689 0.049 0.219 H
0.689 0.451 0.719 H
0.767 0.159 0.131 H
0.767 0.341 0.631 H
0.818 0.729 0.513 H
0.818 0.771 0.013 H
0.233 0.712 0.069 Se
0.233 0.788 0.569 Se
0.767 0.212 0.431 Se
0.767 0.288 0.931 Se
0.056 0.728 0.613 O
0.056 0.772 0.113 O
0.163 0.677 0.924 O
0.163 0.823 0.424 O
0.282 0.547 0.356 O
0.282 0.953 0.856 O
0.317 0.238 0.034 O
0.317 0.262 0.534 O
0.334 0.542 0.145 O
0.334 0.958 0.645 O
0.399 0.637 0.606 O
0.399 0.863 0.106 O
0.601 0.137 0.894 O
0.601 0.363 0.394 O
0.666 0.042 0.355 O
0.666 0.458 0.855 O
0.683 0.738 0.466 O
0.683 0.762 0.966 O
0.718 0.047 0.144 O
0.718 0.453 0.644 O
0.837 0.177 0.576 O
0.837 0.323 0.076 O
0.944 0.228 0.887 O
0.944 0.272 0.387 O
```

Calculated values
Space group: P2_1/c, No. 14
ΔH_f (0 K): -34.44 eV per formula unit
Size of the total moment: 0.999 μB/f.u.

***

2.
Entry from the Materials Project database: an optimized crystal structure of TbAlNi4 (GGA-PBE).

The structure in POSCAR format:
```
TbAlNi4
1.0
2.507 -4.200 0.000
2.507 4.200 0.000
0.000 0.000 4.004
Tb Al Ni
1 1 4
Direct
0.000 0.000 0.000 Tb
0.500 0.500 0.500 Al
0.000 0.500 0.500 Ni
0.334 0.666 0.000 Ni
0.500 0.000 0.500 Ni
0.666 0.334 0.000 Ni
```

Calculated values
Space group: Cmmm, No. 65
ΔH_f (0 K): -3.13 eV per formula unit

***

3.
Entry from the Materials Project database: an optimized crystal structure of CaZrF6 (GGA-PBE).

The structure in POSCAR format:
```
CaZrF6
1.0
0.000 4.314 4.314
4.314 0.000 4.314
4.314 4.314 0.000
Ca Zr F
1 1 6
Direct
0.000 0.000 0.000 Ca
0.500 0.500 0.500 Zr
0.263 0.263 0.737 F
0.263 0.737 0.263 F
0.263 0.737 0.737 F
0.737 0.263 0.263 F
0.737 0.263 0.737 F
0.737 0.737 0.263 F
```

Calculated values
Space group: Fm-3m, No. 225
ΔH_f (0 K): -33.16 eV per formula unit

***

4.
Entry from the Materials Project database: an optimized crystal structure of CdGeP2 (GGA-PBE).

The structure in POSCAR format:
```
CdGeP2
1.0
2.035 1.175 6.634
-2.035 1.175 6.634
0.000 -2.350 6.634
Cd Ge P
1 1 2
Direct
0.000 0.000 0.000 Cd
0.489 0.489 0.489 Ge
0.375 0.375 0.375 P
0.868 0.868 0.868 P
```

Calculated values
Space group: R3m, No. 160
ΔE to the lowest computed polymorph: 138 meV/atom
ΔH_f (0 K): 0.18 eV per formula unit
Size of the total moment: 0.001 μB/f.u.

***

5.
Entry from the Materials Project database: an optimized crystal structure of Ba2PrF7 (GGA-PBE).

The structure in POSCAR format:
```
Ba2PrF7
1.0
4.396 0.000 0.000
0.083 4.419 0.000
1.925 1.811 9.451
Ba Pr F
2 1 7
Direct
0.000 0.000 0.000 Ba
0.346 0.354 0.325 Ba
0.597 0.584 0.683 Pr
0.063 0.483 0.769 F
0.308 0.790 0.505 F
0.416 0.919 0.169 F
0.474 0.482 0.936 F
0.568 0.045 0.771 F
0.782 0.323 0.494 F
0.912 0.425 0.165 F
```

Calculated values
Space group: P1, No. 1
ΔH_f (0 K): -42.16 eV per formula unit
Largest piezoelectric modulus: 3.00 C/m²
Size of the total moment: 0.003 μB/f.u.

***

6.
Entry from the Materials Project database: an optimized crystal structure of Ag (GGA-PBE).

The structure in POSCAR format:
```
Ag
1.0
2.951 0.000 0.000
-1.476 2.556 0.000
0.000 0.000 9.586
Ag
4
Direct
0.000 0.000 0.000 Ag
0.000 0.000 0.500 Ag
0.333 0.667 0.250 Ag
0.667 0.333 0.750 Ag
```

Calculated values
Space group: P6_3/mmc, No. 194
ΔE to the lowest computed polymorph: 7 meV/atom
ΔH_f (0 K): 0.01 eV per formula unit

***

7.
Entry from the Materials Project database: an optimized crystal structure of CaMg14Zr (GGA-PBE).

The structure in POSCAR format:
```
CaMg14Zr
1.0
10.330 0.000 0.000
0.000 3.290 5.611
0.000 -3.290 5.611
Ca Mg Zr
1 14 1
Direct
0.000 0.000 0.000 Ca
0.000 0.504 0.999 Mg
0.000 0.999 0.504 Mg
0.246 0.665 0.665 Mg
0.255 0.175 0.660 Mg
0.255 0.660 0.175 Mg
0.256 0.172 0.172 Mg
0.500 0.001 0.001 Mg
0.500 0.501 0.501 Mg
0.500 0.501 0.999 Mg
0.500 0.999 0.501 Mg
0.744 0.172 0.172 Mg
0.745 0.175 0.660 Mg
0.745 0.660 0.175 Mg
0.754 0.665 0.665 Mg
0.000 0.492 0.492 Zr
```

Calculated values
Space group: Amm2, No. 38
ΔE to the lowest computed polymorph: 6 meV/atom
ΔH_f (0 K): 0.69 eV per formula unit
Size of the total moment: 0.158 μB/f.u.

***

8.
Entry from the Materials Project database: an optimized crystal structure of YTaRu2 (GGA-PBE).

The structure in POSCAR format:
```
YTaRu2
1.0
0.000 3.279 3.279
3.279 0.000 3.279
3.279 3.279 0.000
Y Ta Ru
1 1 2
Direct
0.000 0.000 0.000 Y
0.500 0.500 0.500 Ta
0.250 0.250 0.250 Ru
0.750 0.750 0.750 Ru
```

Calculated values
Space group: Fm-3m, No. 225
ΔH_f (0 K): -1.34 eV per formula unit

***

9.
Entry from the Materials Project database: an optimized crystal structure of LuMn5 (GGA-PBE).

The structure in POSCAR format:
```
LuMn5
1.0
4.845 0.000 0.000
-2.423 4.196 0.000
0.000 0.000 7.958
Lu Mn
2 10
Direct
0.333 0.667 0.000 Lu
0.667 0.333 0.500 Lu
0.000 0.000 0.445 Mn
0.000 0.000 0.945 Mn
0.171 0.343 0.691 Mn
0.171 0.829 0.691 Mn
0.333 0.667 0.371 Mn
0.343 0.171 0.191 Mn
0.657 0.829 0.691 Mn
0.667 0.333 0.871 Mn
0.829 0.171 0.191 Mn
0.829 0.657 0.191 Mn
```

Calculated values
Space group: P6_3mc, No. 186
ΔH_f (0 K): 1.06 eV per formula unit
Size of the total moment: 0.577 μB/f.u.

***

10.
Entry from the Materials Project database: an optimized crystal structure of Na2PtC2 (GGA-PBE).

The structure in POSCAR format:
```
Na2PtC2
1.0
4.557 0.000 0.000
-2.279 3.947 0.000
0.000 0.000 5.226
Na Pt C
2 1 2
Direct
0.333 0.667 0.230 Na
0.667 0.333 0.770 Na
0.000 0.000 0.500 Pt
0.000 0.000 0.122 C
0.000 0.000 0.878 C
```

Calculated values
Space group: P-3m1, No. 164
ΔH_f (0 K): -0.26 eV per formula unit
Size of the total moment: 0.000 μB/f.u.

***

11.
Entry from the Materials Project database: an optimized crystal structure of LiSnPCO7 (GGA-PBE).

The structure in POSCAR format:
```
LiSnPCO7
1.0
5.096 0.000 0.000
0.000 6.581 0.000
-0.713 0.000 8.484
Li Sn P C O
2 2 2 2 14
Direct
0.243 0.250 0.093 Li
0.757 0.750 0.907 Li
0.198 0.750 0.323 Sn
0.802 0.250 0.677 Sn
0.280 0.250 0.419 P
0.720 0.750 0.581 P
0.301 0.750 0.035 C
0.699 0.250 0.965 C
0.052 0.750 0.077 O
0.145 0.250 0.575 O
0.204 0.067 0.310 O
0.204 0.433 0.310 O
0.363 0.750 0.897 O
0.419 0.750 0.534 O
0.479 0.750 0.159 O
0.521 0.250 0.841 O
0.581 0.250 0.466 O
0.637 0.250 0.103 O
0.796 0.567 0.690 O
0.796 0.933 0.690 O
0.855 0.750 0.425 O
0.948 0.250 0.923 O
```

Calculated values
Space group: P2_1/m, No. 11
ΔE to the lowest computed polymorph: 0 meV/atom
ΔH_f (0 K): -24.85 eV per formula unit
Size of the total moment: 0.000 μB/f.u.

***

12.
Entry from the Materials Project database: an optimized crystal structure of CsHg3 (GGA-PBE).

The structure in POSCAR format:
```
CsHg3
1.0
7.846 0.000 0.000
-3.923 6.795 0.000
0.000 0.000 5.921
Cs Hg
2 6
Direct
0.333 0.667 0.250 Cs
0.667 0.333 0.750 Cs
0.141 0.281 0.750 Hg
0.141 0.859 0.750 Hg
0.281 0.141 0.250 Hg
0.719 0.859 0.750 Hg
0.859 0.141 0.250 Hg
0.859 0.719 0.250 Hg
```

Calculated values
Space group: P6_3/mmc, No. 194
ΔH_f (0 K): -0.90 eV per formula unit

***

13.
Entry from the Materials Project database: an optimized crystal structure of TiAl2O5 (GGA-PBE).

The structure in POSCAR format:
```
TiAl2O5
1.0
1.810 -4.728 0.000
1.810 4.728 0.000
0.000 0.000 9.777
Ti Al O
2 4 10
Direct
0.183 0.817 0.750 Ti
0.817 0.183 0.250 Ti
0.141 0.859 0.056 Al
0.141 0.859 0.444 Al
0.859 0.141 0.556 Al
0.859 0.141 0.944 Al
0.044 0.956 0.617 O
0.044 0.956 0.883 O
0.237 0.763 0.250 O
0.312 0.688 0.567 O
0.312 0.688 0.933 O
0.688 0.312 0.067 O
0.688 0.312 0.433 O
0.763 0.237 0.750 O
0.956 0.044 0.117 O
0.956 0.044 0.383 O
```

Calculated values
Space group: Cmcm, No. 63
ΔE to the lowest computed polymorph: 0 meV/atom
ΔH_f (0 K): -27.53 eV per formula unit

***

14.
Entry from the Materials Project database: an optimized crystal structure of Te3MoWS (GGA-PBE).

The structure in POSCAR format:
```
Te3MoWS
1.0
3.449 0.000 0.000
-1.724 2.987 0.000
0.000 0.000 39.359
Te Mo W S
6 2 2 2
Direct
0.000 0.000 0.000 Te
0.000 0.000 0.094 Te
0.000 0.000 0.376 Te
0.000 0.000 0.470 Te
0.667 0.333 0.563 Te
0.667 0.333 0.658 Te
0.667 0.333 0.047 Mo
0.667 0.333 0.423 Mo
0.000 0.000 0.235 W
0.000 0.000 0.611 W
0.667 0.333 0.197 S
0.667 0.333 0.273 S
```

Calculated values
Space group: P3m1, No. 156
ΔE to the lowest computed polymorph: 0 meV/atom
ΔH_f (0 K): -2.30 eV per formula unit
Size of the total moment: 0.000 μB/f.u.

***

15.
Entry from the Materials Project database: an optimized crystal structure of MgTe2MoW2Se2S2 (GGA-PBE).

The structure in POSCAR format:
```
MgTe2MoW2Se2S2
1.0
2.912 -1.676 0.000
2.912 1.676 0.000
-0.815 0.000 35.865
Mg Te Mo W Se S
1 2 1 2 2 2
Direct
0.000 0.000 0.000 Mg
0.000 0.000 0.282 Te
0.015 0.015 0.388 Te
0.999 0.999 0.111 Mo
0.675 0.675 0.335 W
0.675 0.675 0.868 W
0.002 0.002 0.821 Se
0.015 0.015 0.915 Se
0.660 0.660 0.068 S
0.672 0.672 0.153 S
```

Calculated values
Space group: Cm, No. 8
ΔE to the lowest computed polymorph: 36 meV/atom
ΔH_f (0 K): -4.66 eV per formula unit
Size of the total moment: 0.046 μB/f.u.

***

16.
Entry from the Materials Project database: an optimized crystal structure of LuGaNi2 (GGA-PBE).

The structure in POSCAR format:
```
LuGaNi2
1.0
0.000 3.096 3.096
3.096 0.000 3.096
3.096 3.096 0.000
Lu Ga Ni
1 1 2
Direct
0.000 0.000 0.000 Lu
0.500 0.500 0.500 Ga
0.250 0.250 0.250 Ni
0.750 0.750 0.750 Ni
```

Calculated values
Space group: Fm-3m, No. 225
ΔH_f (0 K): -2.00 eV per formula unit
Size of the total moment: 0.004 μB/f.u.

***

no.,DFT total energy (eV for the cell shown)
1,-251.2
2,-34.6
3,-52.4
4,-16.2
5,-61.0
6,-11.3
7,-32.3
8,-38.2
9,-98.5
10,-27.4
11,-150.5
12,-5.4
13,-128.4
14,-78.3
15,-63.6
16,-21.1